Rb3FeF3: optimized geometry, PBE+U.

- M_tot (μB per formula unit) = 4.0
- V (Å³/atom) = 26.503

```
data_Rb3FeF3
_cell_length_a 6.223
_cell_length_b 6.386
_cell_length_c 10.587
_cell_angle_alpha 81.47
_cell_angle_beta 78.36
_cell_angle_gamma 64.52
_symmetry_space_group_name_H-M 'P 1'
_symmetry_Int_Tables_number 1
loop_
_symmetry_equiv_pos_as_xyz
'x,y,z'
loop_
_atom_site_label
_atom_site_fract_x
_atom_site_fract_y
_atom_site_fract_z
_atom_site_occupancy
Rb1 0.388 0.375 0.857 1
Rb2 0.130 0.132 0.620 1
Rb3 0.900 0.862 0.371 1
Rb4 0.761 0.744 0.748 1
Rb5 0.655 0.592 0.121 1
Rb6 0.274 0.230 0.238 1
F1 0.638 0.165 0.609 1
F2 0.730 0.094 0.132 1
F3 0.874 0.310 0.887 1
F4 0.378 0.810 0.380 1
F5 0.186 0.567 0.602 1
F6 0.121 0.644 0.087 1
Fe1 0.535 0.487 0.489 1
Fe2 0.040 0.978 0.988 1
```


FeSnF6: optimized geometry, PBE+U.

- M_tot (μB per formula unit) = 4.0
- V (Å³/atom) = 15.160

```
data_FeSnF6
_cell_length_a 5.484
_cell_length_b 5.484
_cell_length_c 5.631
_cell_angle_alpha 60.86
_cell_angle_beta 60.86
_cell_angle_gamma 60.00
_symmetry_space_group_name_H-M 'P 1'
_symmetry_Int_Tables_number 1
loop_
_symmetry_equiv_pos_as_xyz
'x,y,z'
loop_
_atom_site_label
_atom_site_fract_x
_atom_site_fract_y
_atom_site_fract_z
_atom_site_occupancy
Sn1 0.000 0.000 0.000 1
F1 0.239 0.650 0.248 1
F2 0.863 0.239 0.248 1
F3 0.650 0.863 0.248 1
F4 0.761 0.350 0.752 1
F5 0.350 0.137 0.752 1
F6 0.137 0.761 0.752 1
Fe1 0.500 0.500 0.500 1
```


TlFeF3: optimized geometry, PBE+U.

- M_tot (μB per formula unit) = 4.0
- V (Å³/atom) = 15.401

```
data_TlFeF3
_cell_length_a 4.254
_cell_length_b 4.254
_cell_length_c 4.254
_cell_angle_alpha 90.00
_cell_angle_beta 90.00
_cell_angle_gamma 90.00
_symmetry_space_group_name_H-M 'P 1'
_symmetry_Int_Tables_number 1
loop_
_symmetry_equiv_pos_as_xyz
'x,y,z'
loop_
_atom_site_label
_atom_site_fract_x
_atom_site_fract_y
_atom_site_fract_z
_atom_site_occupancy
Fe1 0.500 0.500 0.500 1
F1 0.500 0.500 0.000 1
F2 0.000 0.500 0.500 1
F3 0.500 0.000 0.500 1
Tl1 0.000 0.000 0.000 1
```


Tl3FeF6: optimized geometry, PBE+U.

- V (Å³/atom) = 19.626

```
data_Tl3FeF6
_cell_length_a 6.523
_cell_length_b 6.523
_cell_length_c 6.523
_cell_angle_alpha 60.00
_cell_angle_beta 60.00
_cell_angle_gamma 60.00
_symmetry_space_group_name_H-M 'P 1'
_symmetry_Int_Tables_number 1
loop_
_symmetry_equiv_pos_as_xyz
'x,y,z'
loop_
_atom_site_label
_atom_site_fract_x
_atom_site_fract_y
_atom_site_fract_z
_atom_site_occupancy
Tl1 0.500 0.500 0.500 1
Tl2 0.750 0.750 0.750 1
Tl3 0.250 0.250 0.250 1
F1 0.787 0.213 0.787 1
F2 0.787 0.213 0.213 1
F3 0.213 0.213 0.787 1
F4 0.787 0.787 0.213 1
F5 0.213 0.787 0.787 1
F6 0.213 0.787 0.213 1
Fe1 0.000 0.000 0.000 1
```


YFeF5: optimized geometry, PBE+U.

- M_tot (μB per formula unit) = 4.0
- V (Å³/atom) = 17.503

```
data_YFeF5
_cell_length_a 5.818
_cell_length_b 5.818
_cell_length_c 5.818
_cell_angle_alpha 137.34
_cell_angle_beta 106.22
_cell_angle_gamma 89.16
_symmetry_space_group_name_H-M 'P 1'
_symmetry_Int_Tables_number 1
loop_
_symmetry_equiv_pos_as_xyz
'x,y,z'
loop_
_atom_site_label
_atom_site_fract_x
_atom_site_fract_y
_atom_site_fract_z
_atom_site_occupancy
F1 0.500 0.000 0.500 1
F2 0.814 0.500 0.314 1
F3 0.232 0.232 0.000 1
F4 0.186 0.500 0.686 1
F5 0.768 0.768 0.000 1
Fe1 0.000 0.000 0.000 1
Y1 0.500 0.500 0.000 1
```


YFe3F15: optimized geometry, PBE+U.

- M_tot (μB per formula unit) = 2.0
- V (Å³/atom) = 15.640

```
data_YFe3F15
_cell_length_a 11.264
_cell_length_b 5.897
_cell_length_c 9.353
_cell_angle_alpha 73.09
_cell_angle_beta 90.00
_cell_angle_gamma 90.00
_symmetry_space_group_name_H-M 'P 1'
_symmetry_Int_Tables_number 1
loop_
_symmetry_equiv_pos_as_xyz
'x,y,z'
loop_
_atom_site_label
_atom_site_fract_x
_atom_site_fract_y
_atom_site_fract_z
_atom_site_occupancy
F1 0.604 0.830 0.686 1
F2 0.090 0.127 0.962 1
F3 0.593 0.250 0.462 1
F4 0.417 0.707 0.888 1
F5 0.250 0.398 0.503 1
F6 0.114 0.761 0.219 1
F7 0.093 0.750 0.538 1
F8 0.896 0.830 0.686 1
F9 0.078 0.104 0.647 1
F10 0.583 0.293 0.112 1
F11 0.410 0.127 0.962 1
F12 0.104 0.170 0.314 1
F13 0.578 0.896 0.353 1
F14 0.250 0.391 0.710 1
F15 0.396 0.170 0.314 1
F16 0.907 0.250 0.462 1
F17 0.250 0.385 0.067 1
F18 0.922 0.896 0.353 1
F19 0.750 0.609 0.290 1
F20 0.917 0.293 0.112 1
F21 0.407 0.750 0.538 1
F22 0.083 0.707 0.888 1
F23 0.886 0.239 0.781 1
F24 0.386 0.761 0.219 1
F25 0.750 0.615 0.933 1
F26 0.590 0.873 0.038 1
F27 0.750 0.602 0.497 1
F28 0.614 0.239 0.781 1
F29 0.422 0.104 0.647 1
F30 0.910 0.873 0.038 1
Fe1 0.508 0.968 0.844 1
Fe2 0.008 0.032 0.156 1
Fe3 0.992 0.968 0.844 1
Fe4 0.500 0.000 0.500 1
Fe5 0.000 0.000 0.500 1
Fe6 0.492 0.032 0.156 1
Y1 0.250 0.483 0.261 1
Y2 0.750 0.517 0.739 1
```


ZnFeF5: optimized geometry, PBE+U.

- E above lowest polymorph (meV/atom) = 2
- M_tot (μB per formula unit) = 5.0
- V (Å³/atom) = 13.164

```
data_ZnFeF5
_cell_length_a 9.883
_cell_length_b 5.243
_cell_length_c 7.577
_cell_angle_alpha 69.85
_cell_angle_beta 90.00
_cell_angle_gamma 90.00
_symmetry_space_group_name_H-M 'P 1'
_symmetry_Int_Tables_number 1
loop_
_symmetry_equiv_pos_as_xyz
'x,y,z'
loop_
_atom_site_label
_atom_site_fract_x
_atom_site_fract_y
_atom_site_fract_z
_atom_site_occupancy
F1 0.863 0.784 0.158 1
F2 0.808 0.151 0.339 1
F3 0.595 0.853 0.195 1
F4 0.392 0.651 0.505 1
F5 0.308 0.849 0.161 1
F6 0.095 0.147 0.305 1
F7 0.608 0.349 0.495 1
F8 0.108 0.651 0.005 1
F9 0.192 0.849 0.661 1
F10 0.386 0.611 0.924 1
F11 0.886 0.389 0.576 1
F12 0.637 0.784 0.658 1
F13 0.905 0.853 0.695 1
F14 0.405 0.147 0.805 1
F15 0.614 0.389 0.076 1
F16 0.692 0.151 0.839 1
F17 0.892 0.349 0.995 1
F18 0.114 0.611 0.424 1
F19 0.137 0.216 0.842 1
F20 0.363 0.216 0.342 1
Zn1 0.496 0.511 0.253 1
Zn2 0.996 0.489 0.247 1
Zn3 0.004 0.511 0.753 1
Zn4 0.504 0.489 0.747 1
Fe1 0.255 0.904 0.896 1
Fe2 0.245 0.904 0.396 1
Fe3 0.745 0.096 0.104 1
Fe4 0.755 0.096 0.604 1
```


ZnFeF5: optimized geometry, PBE+U.

- E above lowest polymorph (meV/atom) = 0
- M_tot (μB per formula unit) = 5.0
- V (Å³/atom) = 13.269

```
data_ZnFeF5
_cell_length_a 5.349
_cell_length_b 5.349
_cell_length_c 7.636
_cell_angle_alpha 68.77
_cell_angle_beta 68.77
_cell_angle_gamma 71.91
_symmetry_space_group_name_H-M 'P 1'
_symmetry_Int_Tables_number 1
loop_
_symmetry_equiv_pos_as_xyz
'x,y,z'
loop_
_atom_site_label
_atom_site_fract_x
_atom_site_fract_y
_atom_site_fract_z
_atom_site_occupancy
F1 0.724 0.782 0.635 1
F2 0.313 0.715 0.045 1
F3 0.715 0.313 0.545 1
F4 0.886 0.114 0.250 1
F5 0.285 0.687 0.455 1
F6 0.276 0.218 0.365 1
F7 0.114 0.886 0.750 1
F8 0.782 0.724 0.135 1
F9 0.687 0.285 0.955 1
F10 0.218 0.276 0.865 1
Zn1 0.527 0.473 0.250 1
Zn2 0.473 0.527 0.750 1
Fe1 0.000 0.000 0.000 1
Fe2 0.000 0.000 0.500 1
```


ZnFeF4: optimized geometry, PBE+U.

- M_tot (μB per formula unit) = 4.0
- V (Å³/atom) = 11.672

```
data_ZnFeF4
_cell_length_a 6.368
_cell_length_b 6.368
_cell_length_c 6.368
_cell_angle_alpha 132.98
_cell_angle_beta 130.84
_cell_angle_gamma 70.39
_symmetry_space_group_name_H-M 'P 1'
_symmetry_Int_Tables_number 1
loop_
_symmetry_equiv_pos_as_xyz
'x,y,z'
loop_
_atom_site_label
_atom_site_fract_x
_atom_site_fract_y
_atom_site_fract_z
_atom_site_occupancy
F1 0.686 0.608 0.546 1
F2 0.062 0.140 0.454 1
F3 0.314 0.392 0.454 1
F4 0.938 0.860 0.546 1
F5 0.438 0.892 0.078 1
F6 0.562 0.108 0.922 1
F7 0.186 0.640 0.078 1
F8 0.814 0.360 0.922 1
Fe1 0.000 0.000 0.000 1
Fe2 0.500 0.500 0.000 1
Zn1 0.250 0.750 0.500 1
Zn2 0.750 0.250 0.500 1
```


Zr2Fe2F3: optimized geometry, PBE+U.

- E above lowest polymorph (meV/atom) = 0
- M_tot (μB per formula unit) = 5.0
- V (Å³/atom) = 17.103

```
data_Zr2Fe2F3
_cell_length_a 6.625
_cell_length_b 6.625
_cell_length_c 5.776
_cell_angle_alpha 79.03
_cell_angle_beta 79.03
_cell_angle_gamma 76.83
_symmetry_space_group_name_H-M 'P 1'
_symmetry_Int_Tables_number 1
loop_
_symmetry_equiv_pos_as_xyz
'x,y,z'
loop_
_atom_site_label
_atom_site_fract_x
_atom_site_fract_y
_atom_site_fract_z
_atom_site_occupancy
Fe1 0.020 0.020 0.429 1
Fe2 0.402 0.048 0.211 1
Fe3 0.048 0.402 0.211 1
Fe4 0.752 0.752 0.384 1
Zr1 0.116 0.116 0.851 1
Zr2 0.328 0.690 0.529 1
Zr3 0.690 0.328 0.529 1
Zr4 0.718 0.718 0.883 1
F1 0.903 0.903 0.008 1
F2 0.774 0.353 0.866 1
F3 0.561 0.247 0.266 1
F4 0.353 0.774 0.866 1
F5 0.247 0.561 0.266 1
F6 0.338 0.338 0.703 1
```


ZrFeF6: optimized geometry, PBE+U.

- M_tot (μB per formula unit) = 4.0
- V (Å³/atom) = 17.317

```
data_ZrFeF6
_cell_length_a 5.808
_cell_length_b 5.808
_cell_length_c 5.808
_cell_angle_alpha 60.00
_cell_angle_beta 60.00
_cell_angle_gamma 60.00
_symmetry_space_group_name_H-M 'P 1'
_symmetry_Int_Tables_number 1
loop_
_symmetry_equiv_pos_as_xyz
'x,y,z'
loop_
_atom_site_label
_atom_site_fract_x
_atom_site_fract_y
_atom_site_fract_z
_atom_site_occupancy
F1 0.250 0.250 0.750 1
F2 0.750 0.750 0.250 1
F3 0.750 0.250 0.750 1
F4 0.250 0.750 0.750 1
F5 0.750 0.250 0.250 1
F6 0.250 0.750 0.250 1
Fe1 0.000 0.000 0.000 1
Zr1 0.500 0.500 0.500 1
```


Zr2Fe2F3: optimized geometry, PBE+U.

- E above lowest polymorph (meV/atom) = 159
- M_tot (μB per formula unit) = 6.0
- V (Å³/atom) = 18.881

```
data_Zr2Fe2F3
_cell_length_a 4.233
_cell_length_b 9.836
_cell_length_c 8.353
_cell_angle_alpha 74.41
_cell_angle_beta 71.58
_cell_angle_gamma 53.68
_symmetry_space_group_name_H-M 'P 1'
_symmetry_Int_Tables_number 1
loop_
_symmetry_equiv_pos_as_xyz
'x,y,z'
loop_
_atom_site_label
_atom_site_fract_x
_atom_site_fract_y
_atom_site_fract_z
_atom_site_occupancy
F1 0.235 0.388 0.112 1
F2 0.328 0.599 0.356 1
F3 0.237 0.144 0.901 1
F4 0.847 0.795 0.083 1
F5 0.018 0.785 0.715 1
F6 0.603 0.417 0.705 1
Zr1 0.414 0.795 0.284 1
Zr2 0.483 0.840 0.660 1
Zr3 0.449 0.188 0.312 1
Zr4 0.572 0.216 0.705 1
Fe1 0.825 0.548 0.952 1
Fe2 0.041 0.054 0.446 1
Fe3 0.948 0.502 0.523 1
Fe4 0.998 0.977 0.998 1
```


Computed values of E_form (unit: meV/atom) for the preceding records, in sequence: -1931; -2610; -2069; -2280; -3507; -2174; -2574; -2576; -2501; -1218; -3324; -1059.